(1)
A geometry-optimized Na6Mg6SiGe2S11O48 structure, computed with GGA-PBE.

```
222
Lattice="8.658 0.000 0.000 -0.046 15.008 0.000 -0.063 -0.053 22.269" Properties=species:S:1:pos:R:3 pbc="T T T"
Na 0.000 0.000 0.000
Na 8.589 4.795 18.542
Na 2.621 10.134 16.638
Na 2.935 14.773 16.850
Na 3.103 4.909 2.099
Na 4.151 7.506 11.206
Na 4.190 7.568 0.066
Na 4.184 2.379 14.883
Na 4.149 12.414 18.625
Na 4.230 2.402 3.953
Na 4.249 12.383 7.538
Na 5.406 4.865 13.003
Na 5.750 5.040 20.405
Na 7.408 12.425 2.099
Na 8.449 9.887 14.780
Na 8.538 9.922 3.963
Na 8.512 14.872 11.175
Na 8.608 4.886 7.537
Mg 4.151 2.307 11.520
Mg 4.194 2.429 7.061
Mg 4.150 7.349 18.988
Mg 4.173 7.409 14.500
Mg 4.134 12.368 21.854
Mg 4.182 12.376 10.798
Mg 4.171 12.361 15.265
Mg 4.230 7.395 3.423
Mg 4.206 2.376 18.216
Mg 4.269 2.327 0.462
Mg 8.501 9.940 7.063
Mg 8.523 4.880 15.274
Mg 8.525 9.884 11.544
Mg 8.532 14.892 3.419
Mg 8.568 4.860 10.776
Mg 8.580 9.874 0.511
Mg 8.553 4.819 21.906
Mg 8.531 14.857 19.042
Si 1.088 12.665 16.820
Si 2.980 5.172 5.531
Si 7.272 12.670 5.528
Ge 4.112 7.316 7.853
Ge 4.249 12.428 4.285
Ge 8.424 14.794 7.850
Ge 8.481 9.945 18.208
Ge 8.495 14.719 14.551
Ge 8.613 4.908 4.301
S 1.092 2.045 16.737
S 1.119 7.092 1.931
S 1.139 2.701 1.936
S 1.126 12.130 9.304
S 1.179 7.688 9.288
S 1.616 2.306 9.268
S 1.604 7.352 16.826
S 1.757 12.408 1.944
S 2.344 9.838 20.451
S 2.377 14.857 5.617
S 2.415 4.855 13.053
S 2.843 14.606 13.110
S 2.898 4.561 20.501
S 2.904 10.151 13.054
S 2.919 0.144 20.460
S 2.969 9.586 5.609
S 5.433 10.219 1.913
S 5.429 14.592 1.926
S 5.480 4.630 9.332
S 5.469 5.138 16.766
S 5.532 0.179 9.297
S 5.502 9.543 16.819
S 5.935 9.818 9.281
S 6.001 14.881 16.737
S 6.099 4.909 1.914
S 6.731 7.352 5.614
S 6.730 12.409 13.080
S 6.745 2.332 20.487
S 7.220 12.026 20.502
S 7.271 7.089 13.050
S 7.254 7.710 20.441
S 7.321 2.077 5.612
S 7.296 2.585 13.094
O 0.371 13.278 15.435
O 0.411 11.118 16.964
O 0.484 8.411 1.829
O 0.468 13.530 9.175
O 0.523 6.460 3.174
O 0.549 1.379 2.103
O 0.506 1.470 17.936
O 0.510 11.558 10.508
O 0.577 3.323 0.740
O 0.530 3.382 16.536
O 0.643 8.315 8.088
O 0.652 6.316 9.419
O 0.716 3.467 9.420
O 0.753 1.031 9.115
O 0.743 6.179 16.662
O 0.733 8.613 16.964
O 0.861 11.216 1.873
O 0.892 6.234 0.759
O 0.895 1.140 15.511
O 0.882 11.343 8.102
O 0.933 3.602 3.161
O 0.911 13.616 2.032
O 0.919 13.633 18.048
O 0.963 8.477 10.506
O 1.269 5.076 5.475
O 1.308 14.742 13.219
O 1.434 10.021 12.920
O 1.446 0.035 20.422
O 1.440 4.730 20.602
O 1.529 9.689 5.799
O 1.482 9.656 21.615
O 1.514 10.041 19.164
O 1.543 14.622 6.849
O 1.634 0.081 4.418
O 1.604 5.025 11.846
O 1.607 4.671 14.263
O 2.391 2.069 10.499
O 2.452 2.489 8.095
O 2.411 7.185 18.031
O 2.429 7.656 15.642
O 2.591 7.237 2.032
O 2.581 2.119 16.828
O 2.585 12.184 3.206
O 2.590 12.531 0.756
O 2.625 2.620 1.845
O 2.576 12.337 9.461
O 2.685 12.421 16.613
O 2.731 7.603 9.191
O 3.073 13.774 11.926
O 3.171 6.195 6.871
O 3.157 10.893 14.321
O 3.171 13.554 5.494
O 3.186 3.749 19.315
O 3.170 11.050 20.528
O 3.184 8.643 20.304
O 3.252 8.824 4.406
O 3.240 0.961 21.642
O 3.307 6.052 13.180
O 3.355 0.949 5.806
O 3.331 3.669 12.929
O 3.375 14.026 14.352
O 3.460 0.947 12.955
O 3.449 0.747 19.207
O 3.505 5.799 4.163
O 3.486 3.968 21.739
O 3.496 10.829 11.897
O 3.520 8.801 13.159
O 3.494 13.805 20.565
O 3.570 3.713 5.751
O 3.559 10.987 5.495
O 3.562 5.904 20.387
O 3.662 9.033 6.840
O 4.838 0.900 1.834
O 4.825 6.017 9.193
O 4.820 13.961 3.174
O 4.846 8.889 2.076
O 4.838 3.799 16.869
O 4.874 10.840 0.711
O 4.900 4.073 10.581
O 4.863 8.947 17.999
O 4.902 5.795 15.567
O 4.989 0.804 8.097
O 4.951 13.820 9.443
O 4.957 10.903 16.676
O 5.032 10.976 9.433
O 5.068 8.535 9.125
O 5.138 1.049 16.813
O 5.208 3.718 1.852
O 5.204 3.810 8.163
O 5.158 13.680 16.575
O 5.214 13.719 0.762
O 5.205 5.923 18.006
O 5.228 11.103 3.142
O 5.254 6.123 2.009
O 5.317 0.974 10.514
O 5.298 8.747 15.605
O 5.563 12.577 5.465
O 5.779 7.190 13.178
O 5.752 12.113 20.559
O 5.816 2.451 12.938
O 5.787 7.539 20.295
O 5.883 2.188 5.802
O 5.898 7.114 6.845
O 5.895 2.570 19.300
O 5.945 7.582 4.414
O 5.934 2.187 21.707
O 5.925 12.622 11.875
O 5.941 12.251 14.295
O 6.716 9.582 10.506
O 6.761 9.992 8.096
O 6.896 5.049 0.687
O 6.818 14.723 17.930
O 6.882 0.136 15.487
O 6.898 14.739 2.044
O 6.921 10.130 1.825
O 6.958 4.696 3.145
O 6.936 4.817 9.466
O 6.940 5.001 16.657
O 7.013 9.616 16.986
O 7.077 0.093 9.194
O 7.461 13.694 6.870
O 7.496 3.431 14.283
O 7.496 6.217 11.874
O 7.462 11.143 19.262
O 7.524 6.044 5.488
O 7.498 8.505 21.637
O 7.605 1.322 4.405
O 7.584 3.579 20.587
O 7.572 13.715 13.176
O 7.604 1.150 20.355
O 7.665 8.450 5.802
O 7.645 11.263 12.939
O 7.809 13.301 4.167
O 7.829 6.474 14.269
O 7.788 11.397 21.706
O 7.853 8.433 12.896
O 7.864 11.212 5.747
O 7.822 13.344 20.338
O 7.889 3.173 11.887
O 7.909 3.487 5.496
O 7.850 6.351 20.515
O 7.870 8.341 19.202
O 7.928 1.217 13.261
O 8.014 1.527 6.838
```

---

(2)
A geometry-optimized Na6Mg2Si5Ge6S7O48 structure, computed with GGA-PBE.

```
222
Lattice="8.654 0.000 0.000 -0.009 14.785 0.000 -0.104 -0.006 22.123" Properties=species:S:1:pos:R:3 pbc="T T T"
Na 0.000 0.000 0.000
Na -0.060 4.869 14.856
Na -0.030 14.661 11.074
Na 1.583 2.235 9.211
Na 2.530 9.607 20.229
Na 4.165 7.401 11.117
Na 4.120 7.276 22.100
Na 4.221 12.204 3.833
Na 4.245 2.389 7.499
Na 4.211 12.207 14.710
Na 4.225 2.469 18.355
Na 5.418 4.777 9.203
Na 5.732 0.214 9.178
Na 7.053 7.598 20.182
Na 7.351 12.156 20.210
Na 8.558 9.855 7.367
Na 8.535 9.760 18.484
Na 8.615 4.841 3.660
Mg -0.055 4.867 17.844
Mg 4.189 12.237 6.824
Mg 4.227 2.411 10.596
Mg 4.188 12.233 17.978
Mg 8.593 4.859 6.959
Mg 8.538 9.790 21.647
Si 1.124 7.598 12.867
Si 1.115 11.960 12.957
Si 1.104 6.919 20.233
Si 1.169 12.665 5.458
Si 1.671 12.356 20.191
Si 2.444 4.951 9.115
Si 3.051 4.575 1.883
Si 2.982 5.256 16.515
Si 3.034 14.313 9.180
Si 5.478 9.422 5.488
Si 5.451 10.091 20.179
Si 6.018 9.804 12.891
Si 6.827 2.407 1.827
Si 7.343 2.749 9.165
Si 7.317 2.024 16.541
Ge -0.052 14.768 18.755
Ge 0.052 14.601 7.918
Ge 0.136 4.813 0.495
Ge 0.117 4.893 11.384
Ge 4.043 12.191 11.581
Ge 4.058 7.267 18.863
Ge 4.143 12.172 0.216
Ge 4.107 7.380 14.213
Ge 4.223 7.444 7.817
Ge 4.258 7.331 3.254
Ge 4.349 2.498 4.008
Ge 4.287 2.508 21.820
Ge 4.349 2.538 15.268
Ge 8.472 9.888 4.247
Ge 8.533 14.774 3.306
Ge 8.497 9.738 14.941
Ge 8.534 9.818 10.892
Ge 8.543 14.723 14.298
S 1.244 2.097 5.476
S 1.185 2.709 20.293
S 1.754 7.335 5.471
S 1.734 2.401 12.940
S 2.465 9.819 1.868
S 2.399 14.725 16.527
S 2.926 10.123 9.211
S 2.911 9.489 16.536
S 3.060 0.256 1.822
S 5.401 14.473 20.296
S 5.488 0.272 12.931
S 5.514 5.176 5.502
S 5.520 4.565 12.889
S 6.064 14.783 5.502
S 6.027 4.807 20.291
S 6.684 7.388 16.549
S 6.753 12.180 9.223
S 7.299 11.975 1.823
S 7.346 7.665 1.865
S 7.294 12.554 16.561
S 7.347 7.094 9.205
O 0.344 13.282 6.771
O 0.302 6.331 19.018
O 0.377 6.130 12.698
O 0.421 8.229 14.209
O 0.460 11.151 5.307
O 0.436 11.375 11.586
O 0.430 13.463 13.131
O 0.614 1.491 4.245
O 0.529 3.226 21.543
O 0.548 1.351 20.165
O 0.633 3.416 5.542
O 0.578 8.417 20.474
O 0.612 13.684 20.028
O 0.707 11.120 20.474
O 0.860 13.583 4.114
O 0.879 6.178 5.592
O 0.854 3.603 12.860
O 0.866 1.170 13.056
O 0.866 6.019 21.648
O 0.953 8.587 5.323
O 0.915 11.016 14.272
O 0.951 8.565 11.551
O 1.017 1.288 6.706
O 0.996 3.506 19.106
O 1.372 14.487 9.102
O 1.436 4.703 1.758
O 1.426 5.095 16.609
O 1.424 9.565 16.444
O 1.457 9.966 9.361
O 1.589 0.135 1.929
O 1.580 4.624 7.843
O 1.549 14.460 15.339
O 1.627 10.017 3.076
O 1.597 5.286 10.502
O 1.585 0.196 17.776
O 1.706 9.623 0.644
O 2.500 2.196 11.715
O 2.569 7.589 6.696
O 2.595 7.071 4.262
O 2.523 12.693 21.619
O 2.580 2.594 14.152
O 2.580 12.032 18.956
O 2.725 12.510 5.536
O 2.746 2.150 5.347
O 2.676 2.534 20.488
O 2.734 12.107 12.823
O 2.746 7.483 13.001
O 2.762 7.103 20.128
O 3.170 10.897 8.014
O 3.129 8.687 17.807
O 3.235 3.609 3.190
O 3.264 1.104 0.601
O 3.201 1.181 16.402
O 3.258 13.400 10.570
O 3.256 13.562 16.675
O 3.338 8.597 1.984
O 3.349 11.055 1.780
O 3.337 6.168 15.217
O 3.422 3.715 9.374
O 3.500 6.284 8.955
O 3.552 1.030 9.408
O 3.534 10.803 16.632
O 3.581 8.754 9.098
O 3.550 8.874 15.348
O 3.581 10.628 10.459
O 3.667 0.848 3.058
O 3.715 13.708 1.706
O 3.751 3.949 0.540
O 3.742 6.068 2.067
O 3.687 3.737 16.388
O 3.801 13.748 7.927
O 3.770 5.841 17.872
O 4.638 10.674 21.589
O 4.798 8.713 4.164
O 4.752 1.027 20.472
O 4.753 8.573 20.021
O 4.846 3.816 5.395
O 4.836 0.881 14.137
O 4.889 5.733 6.732
O 4.898 10.873 5.602
O 4.837 13.916 19.080
O 4.897 3.983 11.705
O 4.905 5.903 13.055
O 4.895 13.699 12.837
O 5.096 8.473 13.124
O 5.098 11.149 12.633
O 5.103 3.586 20.428
O 5.202 1.243 5.335
O 5.246 5.989 4.281
O 5.179 6.043 20.206
O 5.264 13.587 5.575
O 5.264 8.448 6.829
O 5.238 13.578 21.529
O 5.306 1.057 11.718
O 5.303 3.701 14.122
O 5.320 11.099 18.981
O 5.661 2.042 16.381
O 5.815 12.134 1.710
O 5.799 2.485 9.433
O 5.856 7.520 2.013
O 5.831 7.189 9.114
O 5.904 2.049 0.525
O 5.830 7.219 15.357
O 5.904 2.689 3.149
O 5.841 12.483 16.660
O 5.897 7.646 17.821
O 5.946 12.465 10.428
O 5.997 11.976 8.000
O 6.784 4.558 19.085
O 6.869 0.277 6.717
O 6.826 5.047 21.521
O 6.915 14.592 4.270
O 6.925 9.481 11.569
O 6.964 5.062 5.575
O 6.915 10.151 14.215
O 6.887 14.590 20.228
O 6.984 0.131 13.076
O 6.982 4.673 12.787
O 6.991 9.873 20.478
O 7.135 9.444 5.330
O 7.459 3.677 7.895
O 7.502 11.124 3.050
O 7.489 6.214 10.411
O 7.544 8.454 0.659
O 7.499 6.200 16.661
O 7.521 1.061 17.916
O 7.553 8.645 16.446
O 7.563 13.405 15.369
O 7.587 13.469 9.120
O 7.674 11.004 9.370
O 7.736 3.744 1.574
O 7.801 1.077 2.056
O 7.909 11.398 0.636
O 7.906 6.525 7.983
O 7.937 6.308 1.778
O 7.934 13.323 1.989
O 7.903 3.467 16.681
O 7.958 8.438 9.362
O 7.910 13.137 17.831
O 8.000 8.276 3.080
O 7.952 11.230 16.470
O 8.038 1.200 8.973
O 8.028 1.306 15.243
O 8.125 3.399 10.545
```

---

no.,formation enthalpy at 0 K (eV/atom)
1,-2.249
2,-2.218